{"formula": "LuCo6Ge6", "functional": "PBE", "state": "optimized geometry", "lattice_angstrom": [[-4.3416, -2.0135, 1.6404], [2.1554, -1.7405, -4.2332], [4.0276, -5.2538, 4.2109]], "species": ["Lu", "Co", "Co", "Co", "Co", "Co", "Co", "Ge", "Ge", "Ge", "Ge", "Ge", "Ge"], "frac_coords": [[0.0000, 0.0000, 0.0000], [0.5000, 0.5000, 0.7503], [0.5000, 0.0000, 0.7503], [0.0000, 0.5000, 0.7503], [0.5000, 0.5000, 0.2497], [0.5000, 0.0000, 0.2497], [0.0000, 0.5000, 0.2497], [0.6667, 0.3333, 0.0000], [0.3333, 0.6667, 0.0000], [0.6667, 0.3333, 0.5000], [0.3333, 0.6667, 0.5000], [0.0000, 0.0000, 0.6564], [0.0000, 0.0000, 0.3436]]}

{"formula": "SnGe2O6", "functional": "PBE", "state": "optimized geometry", "lattice_angstrom": [[4.5877, 5.0984, 0.0000], [-4.5877, 5.0984, 0.0000], [0.0000, 1.7245, 5.3858]], "species": ["Sn", "Sn", "Ge", "Ge", "Ge", "Ge", "O", "O", "O", "O", "O", "O", "O", "O", "O", "O", "O", "O"], "frac_coords": [[0.1046, 0.8954, 0.7500], [0.8954, 0.1046, 0.2500], [0.2114, 0.3843, 0.7637], [0.6157, 0.7886, 0.7363], [0.7886, 0.6157, 0.2363], [0.3843, 0.2114, 0.2637], [0.3871, 0.3355, 0.5024], [0.6645, 0.6129, 0.9976], [0.6129, 0.6645, 0.4976], [0.3355, 0.3871, 0.0024], [0.6182, 0.0861, 0.1963], [0.9139, 0.3818, 0.3037], [0.3818, 0.9139, 0.8037], [0.0861, 0.6182, 0.6963], [0.0416, 0.1802, 0.8705], [0.8198, 0.9584, 0.6295], [0.9584, 0.8198, 0.1295], [0.1802, 0.0416, 0.3705]]}

{"formula": "MgTi2Ge2O6", "functional": "PBE", "state": "optimized geometry", "lattice_angstrom": [[6.4040, 0.3493, 0.2362], [4.0814, 4.9473, 0.2362], [4.0814, 2.0617, 4.5034]], "species": ["Mg", "Ti", "Ti", "Ge", "Ge", "O", "O", "O", "O", "O", "O"], "frac_coords": [[0.0000, 0.0000, 0.0000], [0.1781, 0.1781, 0.1781], [0.8219, 0.8219, 0.8219], [0.3826, 0.3826, 0.3826], [0.6174, 0.6174, 0.6174], [0.1081, 0.7887, 0.3983], [0.3983, 0.1081, 0.7887], [0.7887, 0.3983, 0.1081], [0.2113, 0.6017, 0.8919], [0.6017, 0.8919, 0.2113], [0.8919, 0.2113, 0.6017]]}

{"formula": "TaH4", "functional": "PBE", "state": "optimized geometry", "lattice_angstrom": [[2.1091, -2.4621, 1.8740], [2.1855, 2.6865, -1.4243], [-2.5006, 1.5298, 2.3300]], "species": ["Ta", "H", "H", "H", "H"], "frac_coords": [[0.0000, 0.0000, 0.0000], [0.5000, 0.5000, 0.5000], [0.0000, 0.0000, 0.5000], [0.0000, 0.5000, 0.0000], [0.5000, 0.0000, 0.0000]]}

{"formula": "GaFeN2", "functional": "PBE", "state": "optimized geometry", "lattice_angstrom": [[5.2369, 0.0000, 0.0000], [0.0000, 10.8041, 0.0000], [0.0000, 0.0000, 12.9990]], "species": ["Ga", "Ga", "Ga", "Ga", "Ga", "Ga", "Ga", "Ga", "Ga", "Ga", "Ga", "Ga", "Ga", "Ga", "Ga", "Ga", "Fe", "Fe", "Fe", "Fe", "Fe", "Fe", "Fe", "Fe", "Fe", "Fe", "Fe", "Fe", "Fe", "Fe", "Fe", "Fe", "N", "N", "N", "N", "N", "N", "N", "N", "N", "N", "N", "N", "N", "N", "N", "N", "N", "N", "N", "N", "N", "N", "N", "N", "N", "N", "N", "N", "N", "N", "N", "N"], "frac_coords": [[0.6131, 0.0475, 0.1852], [0.1131, 0.4525, 0.8148], [0.3869, 0.5475, 0.3148], [0.8869, 0.9525, 0.6852], [0.3869, 0.9525, 0.8148], [0.8869, 0.5475, 0.1852], [0.6131, 0.4525, 0.6852], [0.1131, 0.0475, 0.3148], [0.8005, 0.2957, 0.0638], [0.3005, 0.2043, 0.9362], [0.1995, 0.7957, 0.4362], [0.6995, 0.7043, 0.5638], [0.1995, 0.7043, 0.9362], [0.6995, 0.7957, 0.0638], [0.8005, 0.2043, 0.5638], [0.3005, 0.2957, 0.4362], [0.6490, 0.9541, 0.4413], [0.1490, 0.5459, 0.5587], [0.3510, 0.4541, 0.0587], [0.8510, 0.0459, 0.9413], [0.3510, 0.0459, 0.5587], [0.8510, 0.4541, 0.4413], [0.6490, 0.5459, 0.9413], [0.1490, 0.9541, 0.0587], [0.7836, 0.3001, 0.3074], [0.2836, 0.1999, 0.6926], [0.2164, 0.8001, 0.1926], [0.7164, 0.6999, 0.8074], [0.2164, 0.6999, 0.6926], [0.7164, 0.8001, 0.3074], [0.7836, 0.1999, 0.8074], [0.2836, 0.3001, 0.1926], [0.7282, 0.4764, 0.3081], [0.2282, 0.0236, 0.6919], [0.2718, 0.9764, 0.1919], [0.7718, 0.5236, 0.8081], [0.2718, 0.5236, 0.6919], [0.7718, 0.9764, 0.3081], [0.7282, 0.0236, 0.8081], [0.2282, 0.4764, 0.1919], [0.6760, 0.2993, 0.4465], [0.1760, 0.2007, 0.5535], [0.3240, 0.7993, 0.0535], [0.8240, 0.7007, 0.9465], [0.3240, 0.7007, 0.5535], [0.8240, 0.7993, 0.4465], [0.6760, 0.2007, 0.9465], [0.1760, 0.2993, 0.0535], [0.7042, 0.4740, 0.0688], [0.2042, 0.0260, 0.9312], [0.2958, 0.9740, 0.4312], [0.7958, 0.5260, 0.5688], [0.2958, 0.5260, 0.9312], [0.7958, 0.9740, 0.0688], [0.7042, 0.0260, 0.5688], [0.2042, 0.4740, 0.4312], [0.6286, 0.2268, 0.1869], [0.1286, 0.2732, 0.8131], [0.3714, 0.7268, 0.3131], [0.8714, 0.7732, 0.6869], [0.3714, 0.7732, 0.8131], [0.8714, 0.7268, 0.1869], [0.6286, 0.2732, 0.6869], [0.1286, 0.2268, 0.3131]]}

{"formula": "Mo3WSe4S4", "functional": "PBE", "state": "optimized geometry", "lattice_angstrom": [[1.8953, 2.6473, 0.0675], [-2.8550, 0.0809, -1.5644], [-16.6432, 11.1267, 30.9489]], "species": ["Mo", "Mo", "Mo", "W", "Se", "Se", "Se", "Se", "S", "S", "S", "S"], "frac_coords": [[0.3333, 0.6667, 0.0939], [0.3333, 0.6667, 0.4697], [0.6667, 0.3333, 0.6575], [0.6667, 0.3333, 0.2818], [0.3333, 0.6667, 0.3281], [0.3333, 0.6667, 0.7036], [0.3333, 0.6667, 0.2355], [0.3333, 0.6667, 0.6115], [0.6667, 0.3333, 0.0521], [0.6667, 0.3333, 0.4278], [0.6667, 0.3333, 0.1358], [0.6667, 0.3333, 0.5115]]}

{"formula": "Dy2Si3Rh", "functional": "PBE", "state": "optimized geometry", "lattice_angstrom": [[-0.4793, 7.4574, -3.2932], [-6.8107, -3.9585, 2.1523], [0.4136, 3.2196, 7.2305]], "species": ["Dy", "Dy", "Dy", "Dy", "Dy", "Dy", "Dy", "Dy", "Si", "Si", "Si", "Si", "Si", "Si", "Si", "Si", "Si", "Si", "Si", "Si", "Rh", "Rh", "Rh", "Rh"], "frac_coords": [[0.0000, 0.0000, 0.2500], [0.0000, 0.0000, 0.7500], [0.0078, 0.5039, 0.2500], [0.4961, 0.5039, 0.2500], [0.5039, 0.0078, 0.7500], [0.4961, 0.9922, 0.2500], [0.5039, 0.4961, 0.7500], [0.9922, 0.4961, 0.7500], [0.1661, 0.3322, 0.9992], [0.6678, 0.8339, 0.9992], [0.1661, 0.3322, 0.5008], [0.3322, 0.1661, 0.0008], [0.1661, 0.8339, 0.9992], [0.6678, 0.8339, 0.5008], [0.8339, 0.6678, 0.0008], [0.3322, 0.1661, 0.4992], [0.1661, 0.8339, 0.5008], [0.8339, 0.6678, 0.4992], [0.8339, 0.1661, 0.0008], [0.8339, 0.1661, 0.4992], [0.3333, 0.6667, 0.9865], [0.3333, 0.6667, 0.5135], [0.6667, 0.3333, 0.0135], [0.6667, 0.3333, 0.4865]]}

{"formula": "Y5IrBr9", "functional": "PBE", "state": "optimized geometry", "lattice_angstrom": [[12.9589, 0.0000, 0.0000], [0.0000, 12.9589, 0.0000], [-6.4795, -6.4795, 23.0185]], "species": ["Y", "Y", "Y", "Y", "Y", "Y", "Y", "Y", "Y", "Y", "Y", "Y", "Y", "Y", "Y", "Y", "Y", "Y", "Y", "Y", "Y", "Y", "Y", "Y", "Y", "Y", "Y", "Y", "Y", "Y", "Y", "Y", "Y", "Y", "Y", "Y", "Y", "Y", "Y", "Y", "Ir", "Ir", "Ir", "Ir", "Ir", "Ir", "Ir", "Ir", "Br", "Br", "Br", "Br", "Br", "Br", "Br", "Br", "Br", "Br", "Br", "Br", "Br", "Br", "Br", "Br", "Br", "Br", "Br", "Br", "Br", "Br", "Br", "Br", "Br", "Br", "Br", "Br", "Br", "Br", "Br", "Br", "Br", "Br", "Br", "Br", "Br", "Br", "Br", "Br", "Br", "Br", "Br", "Br", "Br", "Br", "Br", "Br", "Br", "Br", "Br", "Br", "Br", "Br", "Br", "Br", "Br", "Br", "Br", "Br", "Br", "Br", "Br", "Br", "Br", "Br", "Br", "Br", "Br", "Br", "Br", "Br"], "frac_coords": [[0.0841, 0.4308, 0.0783], [0.9942, 0.1475, 0.0783], [0.9308, 0.4942, 0.5783], [0.6475, 0.5841, 0.5783], [0.9159, 0.5692, 0.9217], [0.0058, 0.8525, 0.9217], [0.0692, 0.5058, 0.4217], [0.3525, 0.4159, 0.4217], [0.2110, 0.5740, 0.3186], [0.1076, 0.2446, 0.3186], [0.0740, 0.6076, 0.8186], [0.7446, 0.7110, 0.8186], [0.7890, 0.4260, 0.6814], [0.8924, 0.7554, 0.6814], [0.9260, 0.3924, 0.1814], [0.2554, 0.2890, 0.1814], [0.3207, 0.5823, 0.1922], [0.8715, 0.1099, 0.1922], [0.0823, 0.3715, 0.6922], [0.6099, 0.8207, 0.6922], [0.6793, 0.4177, 0.8078], [0.1285, 0.8901, 0.8078], [0.9177, 0.6285, 0.3078], [0.3901, 0.1793, 0.3078], [0.9519, 0.3335, 0.8106], [0.8587, 0.9772, 0.8106], [0.8335, 0.3587, 0.3106], [0.4772, 0.4519, 0.3106], [0.0481, 0.6665, 0.1894], [0.1413, 0.0228, 0.1894], [0.1665, 0.6413, 0.6894], [0.5228, 0.5481, 0.6894], [0.5829, 0.9357, 0.0673], [0.4844, 0.6316, 0.0673], [0.4357, 0.9844, 0.5673], [0.1316, 0.0829, 0.5673], [0.4171, 0.0643, 0.9327], [0.5156, 0.3684, 0.9327], [0.5643, 0.0156, 0.4327], [0.8684, 0.9171, 0.4327], [0.1387, 0.4772, 0.1964], [0.0577, 0.2192, 0.1964], [0.9772, 0.5577, 0.6964], [0.7192, 0.6387, 0.6964], [0.8613, 0.5228, 0.8036], [0.9423, 0.7808, 0.8036], [0.0228, 0.4423, 0.3036], [0.2808, 0.3613, 0.3036], [0.2821, 0.5290, 0.0658], [0.7837, 0.0368, 0.0658], [0.0290, 0.2837, 0.5658], [0.5368, 0.7821, 0.5658], [0.7179, 0.4710, 0.9342], [0.2163, 0.9632, 0.9342], [0.9710, 0.7163, 0.4342], [0.4632, 0.2179, 0.4342], [0.3971, 0.7291, 0.6843], [0.2873, 0.4552, 0.6843], [0.2291, 0.7873, 0.1843], [0.9552, 0.8971, 0.1843], [0.6029, 0.2709, 0.3157], [0.7127, 0.5448, 0.3157], [0.7709, 0.2127, 0.8157], [0.0448, 0.1029, 0.8157], [0.0234, 0.3824, 0.9381], [0.9148, 0.0557, 0.9381], [0.8824, 0.4148, 0.4381], [0.5557, 0.5234, 0.4381], [0.9766, 0.6176, 0.0619], [0.0852, 0.9443, 0.0619], [0.1176, 0.5852, 0.5619], [0.4443, 0.4766, 0.5619], [0.2727, 0.6279, 0.4518], [0.1791, 0.3239, 0.4518], [0.1279, 0.6791, 0.9518], [0.8239, 0.7727, 0.9518], [0.7273, 0.3721, 0.5482], [0.8209, 0.6761, 0.5482], [0.8721, 0.3209, 0.0482], [0.1761, 0.2273, 0.0482], [0.8913, 0.1435, 0.3150], [0.4237, 0.6715, 0.3150], [0.6435, 0.9237, 0.8150], [0.1715, 0.3913, 0.8150], [0.1087, 0.8565, 0.6850], [0.5763, 0.3285, 0.6850], [0.3565, 0.0763, 0.1850], [0.8285, 0.6087, 0.1850], [0.9053, 0.2258, 0.6869], [0.7816, 0.9611, 0.6869], [0.7258, 0.2816, 0.1869], [0.4611, 0.4053, 0.1869], [0.0947, 0.7742, 0.3131], [0.2184, 0.0389, 0.3131], [0.2742, 0.7184, 0.8131], [0.5389, 0.5947, 0.8131], [0.6629, 0.9954, 0.1847], [0.5218, 0.6894, 0.1847], [0.4954, 0.0218, 0.6847], [0.1894, 0.1629, 0.6847], [0.3371, 0.0046, 0.8153], [0.4782, 0.3106, 0.8153], [0.5046, 0.9782, 0.3153], [0.8106, 0.8371, 0.3153], [0.5271, 0.8814, 0.9433], [0.4162, 0.5619, 0.9433], [0.3814, 0.9162, 0.4433], [0.0619, 0.0271, 0.4433], [0.4729, 0.1186, 0.0567], [0.5838, 0.4381, 0.0567], [0.6186, 0.0838, 0.5567], [0.9381, 0.9729, 0.5567], [0.7654, 0.1080, 0.4380], [0.6726, 0.8300, 0.4380], [0.6080, 0.1726, 0.9380], [0.3300, 0.2654, 0.9380], [0.2346, 0.8920, 0.5620], [0.3274, 0.1700, 0.5620], [0.3920, 0.8274, 0.0620], [0.6700, 0.7346, 0.0620]]}

{"formula": "TeBr4", "functional": "PBE", "state": "optimized geometry", "lattice_angstrom": [[-6.3108, -2.8349, -8.5889], [-3.4901, -10.4505, -0.4872], [-16.2880, -1.5933, 4.1732]], "species": ["Te", "Te", "Te", "Te", "Te", "Te", "Te", "Te", "Br", "Br", "Br", "Br", "Br", "Br", "Br", "Br", "Br", "Br", "Br", "Br", "Br", "Br", "Br", "Br", "Br", "Br", "Br", "Br", "Br", "Br", "Br", "Br", "Br", "Br", "Br", "Br", "Br", "Br", "Br", "Br"], "frac_coords": [[0.7604, 0.2354, 0.3874], [0.2396, 0.7646, 0.6126], [0.7646, 0.2396, 0.1126], [0.2354, 0.7604, 0.8874], [0.6142, 0.6602, 0.1836], [0.3858, 0.3398, 0.8164], [0.3398, 0.3858, 0.3164], [0.6602, 0.6142, 0.6836], [0.6383, 0.1289, 0.5427], [0.3617, 0.8711, 0.4573], [0.8711, 0.3617, 0.9573], [0.1289, 0.6383, 0.0427], [0.9833, 0.0149, 0.3727], [0.0167, 0.9851, 0.6273], [0.9851, 0.0167, 0.1273], [0.0149, 0.9833, 0.8727], [0.3816, 0.8723, 0.1928], [0.6184, 0.1277, 0.8072], [0.1277, 0.6184, 0.3072], [0.8723, 0.3816, 0.6928], [0.4960, 0.5065, 0.1294], [0.5040, 0.4935, 0.8706], [0.4935, 0.5040, 0.3706], [0.5065, 0.4960, 0.6294], [0.6463, 0.1392, 0.0642], [0.3537, 0.8608, 0.9358], [0.8608, 0.3537, 0.4358], [0.1392, 0.6463, 0.5642], [0.7202, 0.7591, 0.0208], [0.2798, 0.2409, 0.9792], [0.2409, 0.2798, 0.4792], [0.7591, 0.7202, 0.5208], [0.6204, 0.1332, 0.3104], [0.3796, 0.8668, 0.6896], [0.8668, 0.3796, 0.1896], [0.1332, 0.6204, 0.8104], [0.7299, 0.7460, 0.2453], [0.2701, 0.2540, 0.7547], [0.2540, 0.2701, 0.2547], [0.7460, 0.7299, 0.7453]]}

{"formula": "EuHfS3", "functional": "PBE", "state": "optimized geometry", "lattice_angstrom": [[-6.3936, 0.6026, 1.8765], [-0.5604, -7.0658, 0.3599], [2.7580, 0.2557, 9.3150]], "species": ["Eu", "Eu", "Eu", "Eu", "Hf", "Hf", "Hf", "Hf", "S", "S", "S", "S", "S", "S", "S", "S", "S", "S", "S", "S"], "frac_coords": [[0.4741, 0.5840, 0.2500], [0.0259, 0.0840, 0.2500], [0.5259, 0.4160, 0.7500], [0.9741, 0.9160, 0.7500], [0.0000, 0.5000, 0.0000], [0.5000, 0.0000, 0.5000], [0.0000, 0.5000, 0.5000], [0.5000, 0.0000, 0.0000], [0.8979, 0.4783, 0.2500], [0.6021, 0.9783, 0.2500], [0.1021, 0.5217, 0.7500], [0.3979, 0.0217, 0.7500], [0.6890, 0.6944, 0.9480], [0.8110, 0.1944, 0.5520], [0.3110, 0.3056, 0.4480], [0.1890, 0.8056, 0.0520], [0.3110, 0.3056, 0.0520], [0.1890, 0.8056, 0.4480], [0.6890, 0.6944, 0.5520], [0.8110, 0.1944, 0.9480]]}

{"formula": "LiMg6Co", "functional": "PBE", "state": "optimized geometry", "lattice_angstrom": [[-3.9725, -2.7305, 0.1720], [2.4405, -3.2480, 4.8039], [-4.2980, 6.6750, 6.6966]], "species": ["Li", "Li", "Mg", "Mg", "Mg", "Mg", "Mg", "Mg", "Mg", "Mg", "Mg", "Mg", "Mg", "Mg", "Co", "Co"], "frac_coords": [[0.5000, 0.5000, 0.8356], [0.5000, 0.0000, 0.3356], [0.5000, 0.2507, 0.0851], [0.5000, 0.7493, 0.0851], [0.0000, 0.2375, 0.9089], [0.0000, 0.7625, 0.9089], [0.0000, 0.5000, 0.1736], [0.0000, 0.5000, 0.6677], [0.5000, 0.7507, 0.5851], [0.5000, 0.2493, 0.5851], [0.0000, 0.7375, 0.4089], [0.0000, 0.2625, 0.4089], [0.0000, 0.0000, 0.6736], [0.0000, 0.0000, 0.1677], [0.5000, 0.5000, 0.3353], [0.5000, 0.0000, 0.8353]]}

{"formula": "SnN2Cl6", "functional": "PBE", "state": "optimized geometry", "lattice_angstrom": [[4.2880, 5.3693, 1.4320], [0.8292, 5.1718, -4.6725], [-2.6589, 6.3644, 1.3006]], "species": ["Sn", "N", "N", "Cl", "Cl", "Cl", "Cl", "Cl", "Cl"], "frac_coords": [[0.0000, 0.0000, 0.0000], [0.2500, 0.2500, 0.2500], [0.7500, 0.7500, 0.7500], [0.7530, 0.2470, 0.2470], [0.7530, 0.2470, 0.7530], [0.7530, 0.7530, 0.2470], [0.2470, 0.7530, 0.7530], [0.2470, 0.7530, 0.2470], [0.2470, 0.2470, 0.7530]]}

Number 1: DFT formation energy -354.1 meV/atom, total energy -6.116 eV per atom. Number 2: DFT formation energy -2045.0 meV/atom, total energy -6.358 eV per atom. Number 3: DFT formation energy -2424.5 meV/atom, total energy -7.170 eV per atom. Number 4: DFT formation energy 206.8 meV/atom, total energy -4.736 eV per atom. Number 5: DFT formation energy -123.0 meV/atom, total energy -6.985 eV per atom. Number 6: DFT formation energy -894.5 meV/atom, total energy -7.062 eV per atom. Number 7: DFT formation energy -928.9 meV/atom, total energy -6.405 eV per atom. Number 8: DFT formation energy -2016.5 meV/atom, total energy -5.423 eV per atom. Number 9: DFT formation energy -812.7 meV/atom, total energy -2.324 eV per atom. Number 10: DFT formation energy -2114.9 meV/atom, total energy -8.338 eV per atom. Number 11: DFT formation energy 113.7 meV/atom, total energy -2.214 eV per atom. Number 12: DFT formation energy 454.6 meV/atom, total energy -2.667 eV per atom.